[1]
KMn2Zn3Si12O30: optimized geometry, PBE with a Hubbard U.

Calculated total energy: -0.5348 Ry per atom
Space-group type: No. 184
E (MP2020): -7.77 eV/atom

Cell and atoms, written as POSCAR:
```
KMn2Zn3Si12O30
1.0
4.968 8.533 -3.025
-7.555 -3.923 -5.846
-9.612 8.079 7.000
K Mn Zn Si O
2 4 6 24 60
Direct
0.000 0.000 0.247
0.000 0.000 0.747
0.333 0.667 0.250
0.333 0.667 0.750
0.667 0.333 0.250
0.667 0.333 0.750
0.000 0.500 0.751
0.500 0.000 0.251
0.500 0.000 0.751
0.500 0.500 0.751
0.000 0.500 0.251
0.500 0.500 0.251
0.235 0.887 0.389
0.235 0.348 0.112
0.887 0.235 0.889
0.652 0.887 0.889
0.348 0.235 0.389
0.765 0.652 0.112
0.765 0.113 0.389
0.652 0.765 0.612
0.652 0.887 0.112
0.887 0.235 0.112
0.235 0.887 0.612
0.113 0.765 0.889
0.113 0.348 0.389
0.348 0.113 0.889
0.348 0.113 0.112
0.235 0.348 0.889
0.652 0.765 0.389
0.348 0.235 0.612
0.113 0.348 0.612
0.887 0.652 0.612
0.765 0.652 0.889
0.113 0.765 0.112
0.887 0.652 0.389
0.765 0.113 0.612
0.877 0.622 0.501
0.276 0.058 0.361
0.744 0.622 0.001
0.502 0.658 0.671
0.658 0.156 0.330
0.342 0.844 0.330
0.218 0.942 0.140
0.498 0.155 0.171
0.782 0.724 0.640
0.378 0.123 0.001
0.276 0.218 0.861
0.744 0.123 0.501
0.256 0.877 0.501
0.218 0.276 0.640
0.622 0.744 0.501
0.218 0.942 0.861
0.658 0.155 0.671
0.845 0.502 0.671
0.156 0.498 0.330
0.058 0.276 0.140
0.155 0.498 0.671
0.622 0.877 0.001
0.276 0.058 0.640
0.276 0.218 0.140
0.724 0.782 0.140
0.155 0.658 0.171
0.342 0.498 0.171
0.845 0.342 0.171
0.378 0.256 0.501
0.942 0.218 0.361
0.218 0.276 0.361
0.724 0.782 0.861
0.942 0.218 0.640
0.942 0.724 0.861
0.342 0.498 0.830
0.156 0.658 0.830
0.724 0.942 0.361
0.782 0.058 0.140
0.498 0.156 0.830
0.256 0.378 0.001
0.782 0.724 0.361
0.342 0.845 0.671
0.058 0.782 0.361
0.942 0.724 0.140
0.844 0.342 0.830
0.502 0.845 0.171
0.658 0.502 0.171
0.502 0.658 0.330
0.782 0.058 0.861
0.724 0.942 0.640
0.498 0.342 0.671
0.058 0.782 0.640
0.658 0.502 0.830
0.877 0.256 0.001
0.502 0.844 0.830
0.123 0.378 0.501
0.844 0.502 0.330
0.058 0.276 0.861
0.498 0.342 0.330
0.123 0.744 0.001
```

***

[2]
KMn2Zn3Si12O30: optimized geometry, PBE with a Hubbard U.

Calculated total energy: -0.5415 Ry per atom
Space-group type: No. 1
E (MP2020): -7.87 eV/atom

Cell and atoms, written as POSCAR:
```
KMn2Zn3Si12O30
1.0
-8.261 -5.905 -1.727
2.719 2.397 9.632
-8.257 11.990 -0.500
K Mn Zn Si O
2 4 6 24 60
Direct
0.005 0.006 0.251
0.995 0.994 0.751
0.337 0.670 0.251
0.330 0.662 0.751
0.670 0.337 0.250
0.664 0.330 0.750
0.998 0.502 0.751
0.499 0.002 0.251
0.500 0.998 0.750
0.505 0.504 0.750
0.002 0.499 0.250
0.496 0.496 0.250
0.239 0.889 0.393
0.239 0.352 0.106
0.884 0.235 0.890
0.645 0.883 0.893
0.351 0.240 0.395
0.764 0.651 0.112
0.764 0.116 0.391
0.649 0.760 0.606
0.649 0.887 0.110
0.889 0.239 0.107
0.236 0.883 0.610
0.111 0.761 0.894
0.116 0.355 0.394
0.350 0.113 0.891
0.354 0.116 0.108
0.236 0.351 0.889
0.650 0.764 0.389
0.350 0.235 0.612
0.114 0.351 0.611
0.885 0.646 0.607
0.760 0.648 0.895
0.116 0.764 0.111
0.887 0.649 0.390
0.762 0.111 0.608
0.871 0.604 0.499
0.274 0.061 0.370
0.735 0.607 0.004
0.505 0.658 0.670
0.662 0.159 0.327
0.343 0.851 0.330
0.221 0.944 0.133
0.499 0.159 0.172
0.782 0.721 0.630
0.396 0.129 0.999
0.279 0.221 0.866
0.735 0.127 0.499
0.266 0.872 0.502
0.216 0.274 0.635
0.606 0.734 0.497
0.214 0.941 0.869
0.656 0.147 0.671
0.843 0.502 0.671
0.159 0.499 0.330
0.060 0.274 0.130
0.155 0.495 0.675
0.603 0.870 0.001
0.278 0.055 0.636
0.278 0.219 0.130
0.725 0.784 0.135
0.160 0.663 0.175
0.342 0.496 0.170
0.852 0.344 0.170
0.393 0.265 0.504
0.943 0.222 0.369
0.217 0.278 0.371
0.722 0.782 0.870
0.941 0.218 0.634
0.939 0.724 0.870
0.338 0.497 0.825
0.150 0.658 0.831
0.726 0.944 0.366
0.783 0.060 0.132
0.492 0.149 0.828
0.266 0.395 0.997
0.781 0.723 0.366
0.337 0.837 0.675
0.059 0.784 0.368
0.944 0.724 0.136
0.842 0.338 0.826
0.506 0.848 0.174
0.661 0.506 0.176
0.504 0.662 0.325
0.776 0.056 0.868
0.728 0.940 0.631
0.494 0.339 0.676
0.057 0.780 0.632
0.657 0.504 0.832
0.873 0.266 0.998
0.499 0.838 0.828
0.130 0.397 0.503
0.848 0.506 0.327
0.056 0.273 0.865
0.494 0.343 0.332
0.127 0.734 0.003
```

***

[3]
KSrSmMnO6: optimized geometry, PBE with a Hubbard U.

Calculated total energy: -0.4716 Ry per atom
Space-group type: No. 216
E (MP2020): -7.00 eV/atom

Cell and atoms, written as POSCAR:
```
KSrSmMnO6
1.0
0.020 -3.325 -4.898
-5.072 -2.234 -2.082
-2.325 2.110 -5.019
K Sr Sm Mn O
1 1 1 1 6
Direct
0.250 0.250 0.250
0.750 0.750 0.750
0.500 0.500 0.500
0.000 0.000 0.000
0.772 0.228 0.228
0.228 0.772 0.772
0.772 0.228 0.772
0.228 0.772 0.228
0.772 0.772 0.228
0.228 0.228 0.772
```

***

Number 1: ΔE_f -2.842 eV per atom. Number 2: ΔE_f -2.934 eV per atom. Number 3: ΔE_f -2.359 eV per atom.